Record 1
Entry from the Materials Project: an optimized crystal structure of Mn8PbO16 (GGA+U).

## Properties
VASP energy   -7.12 eV per atom
Volume   11.77 Å³ per atom

Cell: 5.9542 7.1682 7.2035 Å, 87.15 78.13 77.92°
Closest atoms and distances in Å follow each position.
Atoms (fractional coordinates):
Mn 0.0758 0.5143 0.1851  6 O 1.92-2.05
Mn 0.5753 0.5202 0.1837  6 O 1.91-1.99
Mn 0.8330 0.1819 0.4856  6 O 1.92-2.01
O 0.6529 0.0460 0.3604  3 Mn 1.95-1.99
O 0.6778 0.3586 0.9519  3 Mn 1.96-1.99
O 0.5248 0.2956 0.6174  3 Mn 1.91-1.95
O 0.9800 0.7043 0.3795  3 Mn 1.92-1.96
Mn 0.1674 0.8159 0.5133  6 O 1.93-2.00
O 0.8320 0.6439 0.0484  3 Mn 1.97-1.98
Mn 0.9249 0.4856 0.8168  6 O 1.92-1.98
O 0.1725 0.3476 0.9478  3 Mn 1.98-2.05
O 0.1451 0.0414 0.3463  3 Mn 1.96-2.07
O 0.3367 0.3767 0.2868  3 Mn 1.91-1.93
O 0.3211 0.6501 0.0525  3 Mn 1.98-2.06
O 0.8344 0.3715 0.2856  3 Mn 1.93-1.94
Mn 0.6668 0.8184 0.5212  6 O 1.91-2.05
O 0.0202 0.2937 0.6213  3 Mn 1.93-1.96
O 0.1664 0.6269 0.7140  3 Mn 1.93-1.95
O 0.6667 0.6250 0.7135  3 Mn 1.91-1.93
O 0.8589 0.9532 0.6441  3 Mn 1.95-2.00
Mn 0.4291 0.4803 0.8151  6 O 1.91-2.06
Mn 0.3345 0.1837 0.4804  6 O 1.91-2.07
O 0.4794 0.7057 0.3817  3 Mn 1.91-1.96
O 0.3386 0.9591 0.6490  3 Mn 1.97-2.05
Pb 0.0926 0.0005 0.9984  4 O 2.62-2.65

Record 2
Entry from the Materials Project: an optimized crystal structure of V3O8 (GGA+U).

## Properties
VASP energy   -7.06 eV per atom
Volume   14.57 Å³ per atom
Energy above the most stable polymorph in this dataset   493.5 meV per atom

Cell: 9.5702 9.5702 4.7096 Å, 84.56 95.44 158.08°
Closest atoms and distances in Å follow each position.
Atoms (fractional coordinates):
V 0.1871 0.8129 0.3696  1 O 1.61
V 0.0000 0.0000 0.5000  4 O 1.83-1.91
O 0.8168 0.1832 0.9737  1 V 1.61
O 0.1832 0.8168 0.0263  1 V 1.61
O 0.0954 0.9046 0.4559  2 V 1.81-1.83
O 0.7080 0.2920 0.4681  3 V 1.91-2.05
V 0.8129 0.1871 0.6304  1 O 1.61
O 0.0250 0.9750 0.9021  1 O 1.38
O 0.9046 0.0954 0.5441  2 V 1.81-1.83
O 0.2920 0.7080 0.5319  3 V 1.91-2.05
O 0.9750 0.0250 0.0979  1 O 1.38

Record 3
Entry from the Materials Project: an optimized crystal structure of Mg2TiWO6 (GGA+U).

## Properties
VASP energy   -7.34 eV per atom
Volume   10.71 Å³ per atom
Energy above the most stable polymorph in this dataset   0.0 meV per atom

Cell: 5.3655 5.2304 9.1593 Å, 56.46 90.00 90.00°
Closest atoms and distances in Å follow each position.
Atoms (fractional coordinates):
O 0.3067 0.4038 0.9309  1 Ti 1.93, 1 Mg 2.06, 1 W 2.11
O 0.3188 0.7435 0.5708  1 Ti 1.97, 1 W 2.05, 1 Mg 2.08
O 0.1812 0.7435 0.0708  1 Ti 1.97, 1 W 2.05, 1 Mg 2.08
O 0.5648 0.8755 0.2539  1 Ti 2.04, 1 W 2.07, 2 Mg 2.08-2.18
W 0.0000 0.0000 0.5000  6 O 2.05-2.11
W 0.5000 0.0000 0.0000  6 O 2.05-2.11
O 0.6812 0.2565 0.4292  1 Ti 1.97, 1 W 2.05, 1 Mg 2.08
Mg 0.5513 0.7366 0.7551  4 O 2.06-2.18
Ti 0.0000 0.5000 0.0000  6 O 1.93-2.04
Ti 0.5000 0.5000 0.5000  6 O 1.93-2.04
O 0.4352 0.1245 0.7461  1 Ti 2.04, 1 W 2.07, 2 Mg 2.08-2.18
O 0.9352 0.8755 0.7539  1 Ti 2.04, 1 W 2.07, 2 Mg 2.08-2.18
O 0.6933 0.5962 0.0691  1 Ti 1.93, 1 Mg 2.06, 1 W 2.11
O 0.1933 0.4038 0.4309  1 Ti 1.93, 1 Mg 2.06, 1 W 2.11
O 0.0648 0.1245 0.2461  1 Ti 2.04, 1 W 2.07, 2 Mg 2.08-2.18
Mg 0.4487 0.2634 0.2449  4 O 2.06-2.18
O 0.8067 0.5962 0.5691  1 Ti 1.93, 1 Mg 2.06, 1 W 2.11
Mg 0.0513 0.2634 0.7449  4 O 2.06-2.18
O 0.8188 0.2565 0.9292  1 Ti 1.97, 1 W 2.05, 1 Mg 2.08
Mg 0.9487 0.7366 0.2551  4 O 2.06-2.18

Record 4
Entry from the Materials Project: an optimized crystal structure of Li4NiP6O18 (GGA+U).

## Properties
VASP energy   -6.67 eV per atom
Volume   11.48 Å³ per atom
Energy above the most stable polymorph in this dataset   12.6 meV per atom

Cell: 7.3026 7.3026 13.9268 Å, 86.71 86.71 64.01°
Closest atoms and distances in Å follow each position.
Atoms (fractional coordinates):
Li 0.7010 0.9614 0.4238  6 O 2.22-2.47
O 0.8099 0.5041 0.9696  1 P 1.51
O 0.6291 0.9006 0.8593  1 P 1.49
O 0.5203 0.8053 0.7009  1 P 1.51
Ni 0.6297 0.3703 0.2500  6 O 2.09-2.21
P 0.9655 0.8516 0.6151  4 O 1.50-1.63
O 0.0833 0.2465 0.4655  1 P 1.50
P 0.5985 0.2320 0.6117  4 O 1.50-1.63
O 0.4367 0.5545 0.3689  1 P 1.50
O 0.0994 0.3709 0.6407  1 P 1.49
O 0.2465 0.0833 0.9655  1 P 1.50
O 0.8439 0.0979 0.6004  2 P 1.63
O 0.1561 0.9021 0.3996  2 P 1.63
O 0.1947 0.4797 0.7991  1 P 1.51
O 0.8053 0.5203 0.2009  1 P 1.51
O 0.5480 0.1377 0.7117  2 P 1.61-1.62
O 0.4455 0.5633 0.1311  1 P 1.50
P 0.3715 0.0959 0.2475  4 O 1.49-1.62
O 0.8185 0.1934 0.3653  1 P 1.50
O 0.3709 0.0994 0.1407  1 P 1.49
Li 0.2165 0.4421 0.4532  1 O 2.05
Ni 0.3703 0.6297 0.7500  6 O 2.09-2.21
O 0.8126 0.8646 0.2149  2 P 1.61-1.62
O 0.4959 0.1901 0.5304  1 P 1.51
P 0.7680 0.4015 0.8883  4 O 1.50-1.63
O 0.4520 0.8623 0.2883  2 P 1.61-1.62
O 0.1377 0.5480 0.2117  2 P 1.61-1.62
Li 0.0386 0.2990 0.0762  6 O 2.22-2.47
P 0.1484 0.0345 0.8849  4 O 1.50-1.63
O 0.4797 0.1947 0.2991  1 P 1.51
P 0.8516 0.9655 0.1151  4 O 1.50-1.63
O 0.1901 0.4959 0.0304  1 P 1.51
P 0.4015 0.7680 0.3883  4 O 1.50-1.63
O 0.5041 0.8099 0.4696  1 P 1.51
O 0.9167 0.7535 0.5345  1 P 1.50
O 0.8646 0.8126 0.7149  2 P 1.61-1.62
O 0.0979 0.8439 0.1004  2 P 1.63
Li 0.7835 0.5579 0.5468  1 O 2.05
P 0.0959 0.3715 0.7475  4 O 1.49-1.62
O 0.5545 0.4367 0.8689  1 P 1.50
P 0.9041 0.6285 0.2525  4 O 1.49-1.62
Li 0.2990 0.0386 0.5762  6 O 2.22-2.47
O 0.7535 0.9167 0.0345  1 P 1.50
O 0.1354 0.1874 0.2851  2 P 1.61-1.62
P 0.6285 0.9041 0.7525  4 O 1.49-1.62
P 0.0345 0.1484 0.3849  4 O 1.50-1.63
O 0.8623 0.4520 0.7883  2 P 1.61-1.62
O 0.9021 0.1561 0.8996  2 P 1.63
P 0.2320 0.5985 0.1117  4 O 1.50-1.63
O 0.1934 0.8185 0.8653  1 P 1.50
O 0.1815 0.8066 0.6347  1 P 1.50
O 0.1874 0.1354 0.7851  2 P 1.61-1.62
O 0.5633 0.4455 0.6311  1 P 1.50
O 0.9006 0.6291 0.3593  1 P 1.49
Li 0.9614 0.7010 0.9238  6 O 2.22-2.47
Li 0.5579 0.7835 0.0468  1 O 2.05
Li 0.4421 0.2165 0.9532  1 O 2.05
O 0.8066 0.1815 0.1347  1 P 1.50

Record 5
Entry from the Materials Project: an optimized crystal structure of LiVSiO4 (GGA+U).

## Properties
VASP energy   -7.33 eV per atom
Volume   9.62 Å³ per atom
Energy above the most stable polymorph in this dataset   43.9 meV per atom

Cell: 5.7955 5.7956 8.0181 Å, 90.00 90.00 90.00°
Closest atoms and distances in Å follow each position.
Atoms (fractional coordinates):
O 0.9772 0.2604 0.7601  1 Si 1.64
Li 0.7865 0.0000 0.2500  6 O 2.04-2.28
Si 0.2571 0.2571 0.1250  4 O 1.64-1.70
V 0.7737 0.5000 0.2500  6 O 2.00-2.13
O 0.2624 0.4943 0.9999  1 Si 1.70
Si 0.7429 0.7429 0.6250  4 O 1.64-1.70
Si 0.7429 0.2571 0.8750  4 O 1.64-1.70
O 0.9772 0.7396 0.7399  1 Si 1.64
Si 0.2571 0.7429 0.3750  4 O 1.64-1.70
O 0.2604 0.0228 0.0101  1 Si 1.64
O 0.5057 0.7376 0.7501  1 Si 1.70
V 0.5000 0.2263 0.5000  6 O 2.00-2.13
Li 0.0000 0.2135 0.5000  6 O 2.04-2.28
Li 0.0000 0.7865 0.0000  6 O 2.04-2.28
O 0.0228 0.7396 0.2601  1 Si 1.64
O 0.2604 0.9772 0.4899  1 Si 1.64
V 0.5000 0.7737 0.0000  6 O 2.00-2.13
O 0.5057 0.2624 0.7499  1 Si 1.70
O 0.2624 0.5057 0.5001  1 Si 1.70
O 0.0228 0.2604 0.2399  1 Si 1.64
O 0.7376 0.4943 0.0001  1 Si 1.70
O 0.7396 0.0228 0.9899  1 Si 1.64
O 0.7396 0.9772 0.5101  1 Si 1.64
Li 0.2135 0.0000 0.7500  6 O 2.04-2.28
V 0.2263 0.5000 0.7500  6 O 2.00-2.13
O 0.4943 0.2624 0.2501  1 Si 1.70
O 0.7376 0.5057 0.4999  1 Si 1.70
O 0.4943 0.7376 0.2499  1 Si 1.70

Record 6
Entry from the Materials Project: an optimized crystal structure of Al4Fe2Si5O18 (GGA+U).

## Properties
VASP energy   -7.63 eV per atom
Volume   14.05 Å³ per atom

Cell: 10.0389 10.0389 9.4085 Å, 90.00 90.00 120.73°
Closest atoms and distances in Å follow each position.
Atoms (fractional coordinates):
O 0.4747 0.3534 0.8484  1 Si 1.64, 1 Al 1.79
O 0.5253 0.6466 0.8484  1 Si 1.64, 1 Al 1.79
O 0.9343 0.6917 0.5000  1 Si 1.60, 1 Al 1.73
O 0.6917 0.9343 0.0000  1 Si 1.60, 1 Al 1.73
Si 0.1102 0.7301 0.5000  4 O 1.60-1.65
O 0.3494 0.8606 0.1417  1 Si 1.65, 1 Al 1.76
O 0.8606 0.3494 0.3583  1 Si 1.65, 1 Al 1.76
O 0.2043 0.2918 0.0000  1 Si 1.59, 1 Al 1.73
O 0.5253 0.6466 0.1516  1 Si 1.64, 1 Al 1.79
O 0.0859 0.7619 0.0000  2 Si 1.62-1.63
O 0.8606 0.3494 0.6417  1 Si 1.65, 1 Al 1.76
Al 0.5000 0.0000 0.7504  4 O 1.76-1.77
O 0.7957 0.7082 0.0000  1 Si 1.59, 1 Al 1.73
O 0.3083 0.0657 0.0000  1 Si 1.60, 1 Al 1.73
Al 0.5000 0.0000 0.2496  4 O 1.76-1.77
O 0.2918 0.2043 0.5000  1 Si 1.59, 1 Al 1.73
O 0.5220 0.8688 0.3578  1 Si 1.66, 1 Al 1.77
Fe 0.6628 0.3372 0.2500  6 O 2.18-2.20
O 0.1394 0.6506 0.6417  1 Si 1.65, 1 Al 1.76
Fe 0.6628 0.3372 0.7500  6 O 2.18-2.20
O 0.0657 0.3083 0.5000  1 Si 1.60, 1 Al 1.73
Al 0.0000 0.5000 0.2504  4 O 1.76-1.77
O 0.7082 0.7957 0.5000  1 Si 1.59, 1 Al 1.73
Fe 0.3372 0.6628 0.7500  6 O 2.18-2.20
Si 0.7301 0.1102 0.0000  4 O 1.60-1.65
O 0.8688 0.5220 0.8578  1 Si 1.66, 1 Al 1.77
O 0.1394 0.6506 0.3583  1 Si 1.65, 1 Al 1.76
Si 0.6319 0.9012 0.5000  4 O 1.59-1.66
O 0.1312 0.4780 0.1422  1 Si 1.66, 1 Al 1.77
Al 0.7428 0.6440 0.5000  4 O 1.73-1.79
O 0.1312 0.4780 0.8578  1 Si 1.66, 1 Al 1.77
O 0.5220 0.8688 0.6422  1 Si 1.66, 1 Al 1.77
O 0.6506 0.1394 0.1417  1 Si 1.65, 1 Al 1.76
Al 0.6440 0.7428 0.0000  4 O 1.73-1.79
O 0.4747 0.3534 0.1516  1 Si 1.64, 1 Al 1.79
Si 0.2699 0.8898 0.0000  4 O 1.60-1.65
O 0.4780 0.1312 0.3578  1 Si 1.66, 1 Al 1.77
Al 0.3560 0.2572 0.0000  4 O 1.73-1.79
Si 0.5000 0.5000 0.2500  4 O 1.64
Si 0.5000 0.5000 0.7500  4 O 1.64
O 0.3494 0.8606 0.8583  1 Si 1.65, 1 Al 1.76
Al 0.2572 0.3560 0.5000  4 O 1.73-1.79
O 0.4780 0.1312 0.6422  1 Si 1.66, 1 Al 1.77
O 0.6466 0.5253 0.3484  1 Si 1.64, 1 Al 1.79
O 0.3534 0.4747 0.6516  1 Si 1.64, 1 Al 1.79
Si 0.9012 0.6319 0.0000  4 O 1.59-1.66
Si 0.0988 0.3681 0.0000  4 O 1.59-1.66
Fe 0.3372 0.6628 0.2500  6 O 2.18-2.20
O 0.3534 0.4747 0.3484  1 Si 1.64, 1 Al 1.79
O 0.6466 0.5253 0.6516  1 Si 1.64, 1 Al 1.79
Si 0.8898 0.2699 0.5000  4 O 1.60-1.65
O 0.2381 0.9141 0.5000  2 Si 1.62-1.63
O 0.6506 0.1394 0.8583  1 Si 1.65, 1 Al 1.76
O 0.9141 0.2381 0.0000  2 Si 1.62-1.63
Si 0.3681 0.0988 0.5000  4 O 1.59-1.66
O 0.8688 0.5220 0.1422  1 Si 1.66, 1 Al 1.77
O 0.7619 0.0859 0.5000  2 Si 1.62-1.63
Al 0.0000 0.5000 0.7496  4 O 1.76-1.77